# VCrO4 PBE+U optimized geometry
data_VCrO4
_space_group_name_H-M_alt 'C 1 2/m 1'
_space_group_IT_number 12
_cell_length_a 9.988
_cell_length_b 9.027
_cell_length_c 6.951
_cell_angle_alpha 90.00
_cell_angle_beta 107.26
_cell_angle_gamma 90.00
loop_
_space_group_symop_operation_xyz
'x,y,z'
'-x,-y,-z'
'-x,y,-z'
'x,-y,z'
'x+1/2,y+1/2,z'
'-x+1/2,-y+1/2,-z'
'-x+1/2,y+1/2,-z'
'x+1/2,-y+1/2,z'
loop_
_atom_site_label
_atom_site_fract_x
_atom_site_fract_y
_atom_site_fract_z
V1 0.000 0.249 0.000
V2 0.226 0.000 0.602
Cr1 0.000 0.321 0.500
Cr2 0.202 0.500 0.857
O1 0.045 0.347 0.800
O2 0.135 0.159 0.528
O3 0.139 0.500 0.541
O4 0.145 0.147 0.111
O5 0.207 0.500 0.141
# Crystal system ... monoclinic

# Ca4Fe5Te3O18 PBE+U optimized geometry
data_Ca4Fe5Te3O18
_space_group_name_H-M_alt 'C 1 2/c 1'
_space_group_IT_number 15
_cell_length_a 15.014
_cell_length_b 10.147
_cell_length_c 10.815
_cell_angle_alpha 90.00
_cell_angle_beta 97.04
_cell_angle_gamma 90.00
loop_
_space_group_symop_operation_xyz
'x,y,z'
'-x,-y,-z'
'-x,y,-z+1/2'
'x,-y,z+1/2'
'x+1/2,y+1/2,z'
'-x+1/2,-y+1/2,-z'
'-x+1/2,y+1/2,-z+1/2'
'x+1/2,-y+1/2,z+1/2'
loop_
_atom_site_label
_atom_site_fract_x
_atom_site_fract_y
_atom_site_fract_z
Ca1 0.045 0.171 0.018
Ca2 0.217 0.337 0.859
Fe1 0.000 0.340 0.750
Fe2 0.125 0.366 0.280
Fe3 0.173 0.190 0.576
Te1 0.000 0.500 0.000
Te2 0.161 0.012 0.336
O1 0.068 0.350 0.437
O2 0.072 0.498 0.165
O3 0.076 0.371 0.932
O4 0.086 0.059 0.471
O5 0.101 0.221 0.701
O6 0.132 0.208 0.197
O7 0.202 0.132 0.944
O8 0.242 0.149 0.414
O9 0.243 0.437 0.318
# Crystal system ... monoclinic

# NbVO5 PBE+U optimized geometry
data_NbVO5
_space_group_name_H-M_alt 'P 4/n'
_space_group_IT_number 85
_cell_length_a 6.880
_cell_length_b 6.880
_cell_length_c 4.299
_cell_angle_alpha 90.00
_cell_angle_beta 90.00
_cell_angle_gamma 90.00
loop_
_space_group_symop_operation_xyz
'x,y,z'
'-x,-y,-z'
'-y+1/2,x,z'
'y+1/2,-x,-z'
'-x+1/2,-y+1/2,z'
'x+1/2,y+1/2,-z'
'y,-x+1/2,z'
'-y,x+1/2,-z'
loop_
_atom_site_label
_atom_site_fract_x
_atom_site_fract_y
_atom_site_fract_z
Nb1 0.250 0.250 0.202
V1 0.250 0.750 0.500
O1 0.040 0.758 0.724
O2 0.250 0.250 0.788
# Crystal system ... tetragonal

# Co6C13Se2O12 PBE+U optimized geometry
data_Co6C13Se2O12
_space_group_name_H-M_alt 'C 1 c 1'
_space_group_IT_number 9
_cell_length_a 16.254
_cell_length_b 9.397
_cell_length_c 16.213
_cell_angle_alpha 90.00
_cell_angle_beta 114.81
_cell_angle_gamma 90.00
loop_
_space_group_symop_operation_xyz
'x,y,z'
'x,-y,z+1/2'
'x+1/2,y+1/2,z'
'x+1/2,-y+1/2,z+1/2'
loop_
_atom_site_label
_atom_site_fract_x
_atom_site_fract_y
_atom_site_fract_z
Co1 0.000 0.100 0.000
Co2 0.098 0.289 0.995
Co3 0.366 0.123 0.353
Co4 0.396 0.368 0.325
Co5 0.468 0.154 0.528
Co6 0.495 0.176 0.320
C1 0.031 0.497 0.815
C2 0.064 0.048 0.493
C3 0.064 0.227 0.778
C4 0.153 0.455 0.020
C5 0.186 0.197 0.982
C6 0.263 0.148 0.364
C7 0.299 0.455 0.322
C8 0.364 0.065 0.849
C9 0.385 0.177 0.569
C10 0.419 0.496 0.525
C11 0.442 0.492 0.785
C12 0.470 0.238 0.420
C13 0.487 0.028 0.054
Se1 0.091 0.218 0.128
Se2 0.349 0.199 0.211
O1 0.002 0.352 0.573
O2 0.053 0.386 0.312
O3 0.108 0.149 0.496
O4 0.109 0.168 0.748
O5 0.191 0.438 0.540
O6 0.197 0.162 0.374
O7 0.233 0.486 0.816
O8 0.243 0.133 0.974
O9 0.333 0.190 0.601
O10 0.364 0.189 0.846
O11 0.367 0.439 0.042
O12 0.472 0.400 0.759
# Crystal system ... monoclinic

| no. | final energy (eV/atom) |
| --- | --- |
| 1 | -7.69 |
| 2 | -6.23 |
| 3 | -8.23 |
| 4 | -6.96 |